CaAgGe | PBE | optimized geometry Values from VASP.

* DFT total energy: -3.64 eV per atom
* formation energy from the elements: -0.490 eV per atom

Quantum ESPRESSO input file:
```
&SYSTEM
  ibrav = 0, nat = 36, ntyp = 3
/
ATOMIC_SPECIES
Ge 72.64 Ge.upf
Ca 40.08 Ca.upf
Ag 107.87 Ag.upf
ATOMIC_POSITIONS crystal
Ge 0.2500 0.5920 0.9271
Ge 0.2500 0.9176 0.2277
Ca 0.7500 0.7929 0.6664
Ag 0.2500 0.9183 0.5643
Ca 0.2500 0.2920 0.1674
Ag 0.2500 0.5874 0.2635
Ge 0.7500 0.4176 0.2723
Ge 0.2500 0.9080 0.4271
Ca 0.2500 0.2071 0.3336
Ag 0.7500 0.4183 0.9357
Ag 0.7500 0.0874 0.2365
Ca 0.2500 0.2929 0.8336
Ge 0.2500 0.5889 0.6030
Ca 0.2500 0.2080 0.6674
Ag 0.7500 0.4126 0.7365
Ge 0.7500 0.4080 0.0729
Ag 0.7500 0.0817 0.4357
Ag 0.7500 0.0800 0.0958
Ag 0.2500 0.5817 0.0643
Ca 0.7500 0.7080 0.8326
Ge 0.7500 0.0889 0.8970
Ge 0.7500 0.0824 0.7723
Ag 0.7500 0.4200 0.5958
Ge 0.7500 0.4111 0.3970
Ca 0.7500 0.7805 0.9994
Ca 0.7500 0.7071 0.1664
Ca 0.7500 0.7195 0.4994
Ge 0.7500 0.0920 0.5729
Ge 0.2500 0.9111 0.1030
Ag 0.2500 0.5800 0.4042
Ca 0.2500 0.2195 0.0006
Ag 0.2500 0.9126 0.7635
Ca 0.2500 0.2805 0.5006
Ag 0.2500 0.9200 0.9042
Ca 0.7500 0.7920 0.3326
Ge 0.2500 0.5824 0.7277
CELL_PARAMETERS angstrom
4.6185 0.0000 0.0000
0.0000 7.9334 0.0000
0.0000 0.0000 21.7681
```

***

Ca2MgAg3 | PBE | optimized geometry Values from VASP.

* DFT total energy: -2.64 eV per atom
* formation energy from the elements: -0.284 eV per atom

Quantum ESPRESSO input file:
```
&SYSTEM
  ibrav = 0, nat = 12, ntyp = 3
/
ATOMIC_SPECIES
Ag 107.87 Ag.upf
Ca 40.08 Ca.upf
Mg 24.30 Mg.upf
ATOMIC_POSITIONS crystal
Ag 0.1689 0.3379 0.7500
Ca 0.6667 0.3333 0.9407
Ca 0.3333 0.6667 0.0593
Ag 0.8311 0.6621 0.2500
Ca 0.6667 0.3333 0.5593
Ag 0.6621 0.8311 0.7500
Ag 0.3379 0.1689 0.2500
Ca 0.3333 0.6667 0.4407
Ag 0.8311 0.1689 0.2500
Mg 0.0000 0.0000 0.5000
Mg 0.0000 0.0000 0.0000
Ag 0.1689 0.8311 0.7500
CELL_PARAMETERS angstrom
-5.7754 -0.0141 -1.6742
2.4670 -4.9641 2.3304
-2.4149 2.7000 8.3078
```

***

Ca5Ag2N4 | PBE | optimized geometry Values from VASP.

* corrected total energy (MP2020 scheme): -0.189 Ha/atom
* DFT total energy: -5.02 eV per atom
* formation energy from the elements: -0.693 eV per atom

Quantum ESPRESSO input file:
```
&SYSTEM
  ibrav = 0, nat = 44, ntyp = 3
/
ATOMIC_SPECIES
Ca 40.08 Ca.upf
N 14.01 N.upf
Ag 107.87 Ag.upf
ATOMIC_POSITIONS crystal
Ca 0.7500 0.7500 0.3719
Ca 0.6327 0.4224 0.0834
Ca 0.9224 0.3673 0.9166
N 0.1377 0.9494 0.0957
Ca 0.2500 0.2500 0.6281
Ca 0.9224 0.1327 0.4166
Ca 0.7500 0.7500 0.8719
Ca 0.1327 0.5776 0.4166
Ca 0.0776 0.8673 0.5834
N 0.9494 0.3623 0.0957
Ca 0.8673 0.4224 0.5834
Ag 0.0950 0.5950 0.7500
N 0.4494 0.6377 0.4043
N 0.9494 0.1377 0.5957
Ca 0.4224 0.8673 0.0834
N 0.5506 0.1377 0.0957
Ca 0.0776 0.6327 0.0834
N 0.5506 0.3623 0.5957
Ca 0.3673 0.9224 0.4166
Ag 0.5950 0.4050 0.7500
Ca 0.8673 0.0776 0.0834
Ca 0.3673 0.5776 0.9166
N 0.6377 0.4494 0.9043
Ca 0.4224 0.6327 0.5834
N 0.0506 0.6377 0.9043
Ag 0.4050 0.5950 0.2500
Ca 0.5776 0.1327 0.9166
N 0.4494 0.8623 0.9043
Ag 0.0950 0.9050 0.2500
Ag 0.5950 0.0950 0.2500
Ca 0.6327 0.0776 0.5834
N 0.6377 0.0506 0.4043
Ag 0.9050 0.4050 0.2500
Ag 0.4050 0.9050 0.7500
Ca 0.5776 0.3673 0.4166
Ca 0.2500 0.2500 0.1281
N 0.8623 0.0506 0.9043
Ca 0.1327 0.9224 0.9166
N 0.8623 0.4494 0.4043
N 0.3623 0.9494 0.5957
N 0.0506 0.8623 0.4043
N 0.3623 0.5506 0.0957
Ag 0.9050 0.0950 0.7500
N 0.1377 0.5506 0.5957
CELL_PARAMETERS angstrom
7.9893 0.0000 0.0000
0.0000 7.9893 0.0000
0.0000 0.0000 13.3938
```